{
  "formula": "V3O5",
  "functional": "r2SCAN",
  "state": "optimized geometry",
  "e_form_ev_per_atom": -2.67,
  "cell": [[-3.544, -3.379, 0.923], [4.703, -5.151, -0.801], [-0.182, 2.772, 9.453]],
  "species": ["O", "O", "O", "O", "O", "O", "O", "O", "O", "O", "O", "O", "O", "O", "O", "O", "O", "O", "O", "O", "V", "V", "V", "V", "V", "V", "V", "V", "V", "V", "V", "V"],
  "frac_coords": [[0.342, 0.863, 0.419], [0.650, 0.531, 0.193], [0.806, 0.750, 0.500], [0.841, 0.137, 0.081], [0.659, 0.363, 0.419], [0.150, 0.031, 0.693], [0.659, 0.137, 0.581], [0.158, 0.637, 0.081], [0.841, 0.363, 0.919], [0.694, 0.750, 0.000], [0.150, 0.469, 0.307], [0.195, 0.250, 0.500], [0.158, 0.863, 0.919], [0.350, 0.469, 0.807], [0.851, 0.969, 0.307], [0.650, 0.969, 0.807], [0.342, 0.637, 0.581], [0.350, 0.031, 0.193], [0.305, 0.250, 0.000], [0.851, 0.531, 0.693], [0.495, 0.909, 0.629], [0.505, 0.409, 0.629], [0.495, 0.591, 0.371], [0.995, 0.091, 0.871], [0.505, 0.091, 0.371], [0.000, 0.000, 0.500], [0.005, 0.591, 0.871], [0.005, 0.909, 0.129], [0.500, 0.000, 0.000], [0.995, 0.409, 0.129], [0.500, 0.500, 0.000], [0.000, 0.500, 0.500]]
}

{
  "formula": "Y2V2O7",
  "functional": "r2SCAN",
  "state": "optimized geometry",
  "e_form_ev_per_atom": -3.26,
  "cell": [[0.000, 5.004, 5.004], [5.004, 0.000, 5.004], [5.004, 5.004, 0.000]],
  "species": ["Y", "Y", "Y", "Y", "V", "V", "V", "V", "O", "O", "O", "O", "O", "O", "O", "O", "O", "O", "O", "O", "O", "O"],
  "frac_coords": [[0.000, 0.000, 0.000], [0.000, 0.000, 0.500], [0.000, 0.500, 0.000], [0.500, 0.000, 0.000], [0.000, 0.500, 0.500], [0.500, 0.000, 0.500], [0.500, 0.500, 0.000], [0.500, 0.500, 0.500], [0.125, 0.125, 0.125], [0.170, 0.170, 0.580], [0.170, 0.580, 0.170], [0.170, 0.580, 0.580], [0.420, 0.420, 0.830], [0.420, 0.830, 0.420], [0.420, 0.830, 0.830], [0.580, 0.170, 0.170], [0.580, 0.170, 0.580], [0.580, 0.580, 0.170], [0.830, 0.420, 0.420], [0.830, 0.420, 0.830], [0.830, 0.830, 0.420], [0.875, 0.875, 0.875]]
}

{
  "formula": "YbVO4",
  "functional": "r2SCAN",
  "state": "optimized geometry",
  "e_form_ev_per_atom": -3.30,
  "cell": [[-3.503, 3.503, 3.108], [3.503, -3.503, 3.108], [3.503, 3.503, -3.108]],
  "species": ["Yb", "Yb", "V", "V", "O", "O", "O", "O", "O", "O", "O", "O"],
  "frac_coords": [[0.375, 0.625, 0.750], [0.625, 0.375, 0.250], [0.125, 0.875, 0.250], [0.875, 0.125, 0.750], [0.135, 0.698, 0.437], [0.239, 0.302, 0.937], [0.302, 0.239, 0.437], [0.302, 0.865, 0.063], [0.698, 0.135, 0.937], [0.698, 0.761, 0.563], [0.761, 0.698, 0.063], [0.865, 0.302, 0.563]]
}

{
  "formula": "ZrV2O7",
  "functional": "r2SCAN",
  "state": "optimized geometry",
  "e_form_ev_per_atom": -2.87,
  "cell": [[8.939, 0.000, 0.000], [0.000, 8.939, 0.000], [0.000, 0.000, 8.939]],
  "species": ["Zr", "Zr", "Zr", "Zr", "V", "V", "V", "V", "V", "V", "V", "V", "O", "O", "O", "O", "O", "O", "O", "O", "O", "O", "O", "O", "O", "O", "O", "O", "O", "O", "O", "O", "O", "O", "O", "O", "O", "O", "O", "O"],
  "frac_coords": [[0.000, 0.000, 0.000], [0.000, 0.500, 0.500], [0.500, 0.000, 0.500], [0.500, 0.500, 0.000], [0.114, 0.614, 0.886], [0.114, 0.886, 0.386], [0.386, 0.114, 0.886], [0.386, 0.386, 0.386], [0.614, 0.614, 0.614], [0.614, 0.886, 0.114], [0.886, 0.114, 0.614], [0.886, 0.386, 0.114], [0.000, 0.000, 0.500], [0.000, 0.500, 0.000], [0.063, 0.705, 0.409], [0.063, 0.795, 0.909], [0.091, 0.563, 0.705], [0.091, 0.937, 0.205], [0.205, 0.091, 0.937], [0.205, 0.409, 0.437], [0.295, 0.591, 0.937], [0.295, 0.909, 0.437], [0.409, 0.063, 0.705], [0.409, 0.437, 0.205], [0.437, 0.205, 0.409], [0.437, 0.295, 0.909], [0.500, 0.000, 0.000], [0.500, 0.500, 0.500], [0.563, 0.705, 0.091], [0.563, 0.795, 0.591], [0.591, 0.563, 0.795], [0.591, 0.937, 0.295], [0.705, 0.091, 0.563], [0.705, 0.409, 0.063], [0.795, 0.591, 0.563], [0.795, 0.909, 0.063], [0.909, 0.063, 0.795], [0.909, 0.437, 0.295], [0.937, 0.205, 0.091], [0.937, 0.295, 0.591]]
}

{
  "formula": "Y2WO6",
  "functional": "r2SCAN",
  "state": "optimized geometry",
  "e_form_ev_per_atom": -3.31,
  "polymorph_energy_mev_per_atom": 15,
  "cell": [[5.224, 0.000, 0.000], [0.000, 9.060, 0.000], [0.000, 0.000, 9.908]],
  "species": ["Y", "Y", "Y", "Y", "Y", "Y", "Y", "Y", "W", "W", "W", "W", "O", "O", "O", "O", "O", "O", "O", "O", "O", "O", "O", "O", "O", "O", "O", "O", "O", "O", "O", "O", "O", "O", "O", "O"],
  "frac_coords": [[0.019, 0.103, 0.466], [0.038, 0.219, 0.871], [0.462, 0.781, 0.371], [0.481, 0.897, 0.966], [0.519, 0.397, 0.534], [0.538, 0.281, 0.129], [0.962, 0.719, 0.629], [0.981, 0.603, 0.034], [0.039, 0.495, 0.347], [0.461, 0.505, 0.847], [0.539, 0.005, 0.653], [0.961, 0.995, 0.153], [0.084, 0.844, 0.031], [0.175, 0.953, 0.297], [0.182, 0.637, 0.819], [0.193, 0.640, 0.236], [0.232, 0.113, 0.068], [0.247, 0.590, 0.494], [0.253, 0.410, 0.994], [0.268, 0.887, 0.568], [0.307, 0.360, 0.736], [0.318, 0.363, 0.319], [0.325, 0.047, 0.797], [0.416, 0.156, 0.531], [0.584, 0.656, 0.969], [0.675, 0.547, 0.703], [0.682, 0.863, 0.181], [0.693, 0.860, 0.764], [0.732, 0.387, 0.932], [0.747, 0.910, 0.506], [0.753, 0.090, 0.006], [0.768, 0.613, 0.432], [0.807, 0.140, 0.264], [0.818, 0.137, 0.681], [0.825, 0.453, 0.203], [0.916, 0.344, 0.469]]
}

{
  "formula": "Y2W2O9",
  "functional": "r2SCAN",
  "state": "optimized geometry",
  "e_form_ev_per_atom": -2.95,
  "cell": [[5.827, -7.710, 0.000], [5.827, 7.710, 0.000], [0.000, 0.000, 7.112]],
  "species": ["Y", "Y", "Y", "Y", "Y", "Y", "Y", "Y", "W", "W", "W", "W", "W", "W", "W", "W", "O", "O", "O", "O", "O", "O", "O", "O", "O", "O", "O", "O", "O", "O", "O", "O", "O", "O", "O", "O", "O", "O", "O", "O", "O", "O", "O", "O", "O", "O", "O", "O", "O", "O", "O", "O"],
  "frac_coords": [[0.126, 0.411, 0.998], [0.226, 0.774, 0.750], [0.227, 0.773, 0.250], [0.411, 0.126, 0.002], [0.589, 0.874, 0.502], [0.773, 0.227, 0.750], [0.774, 0.226, 0.250], [0.874, 0.589, 0.498], [0.048, 0.048, 0.000], [0.146, 0.393, 0.498], [0.393, 0.146, 0.502], [0.499, 0.501, 0.750], [0.501, 0.499, 0.250], [0.607, 0.854, 0.002], [0.854, 0.607, 0.998], [0.952, 0.952, 0.500], [0.002, 0.998, 0.750], [0.032, 0.328, 0.294], [0.032, 0.329, 0.703], [0.090, 0.849, 0.497], [0.110, 0.576, 0.498], [0.151, 0.910, 0.003], [0.202, 0.202, 0.000], [0.208, 0.633, 0.999], [0.226, 0.226, 0.500], [0.303, 0.477, 0.310], [0.303, 0.477, 0.689], [0.328, 0.032, 0.706], [0.329, 0.032, 0.297], [0.367, 0.792, 0.501], [0.424, 0.890, 0.002], [0.440, 0.440, 0.000], [0.477, 0.303, 0.311], [0.477, 0.303, 0.690], [0.523, 0.697, 0.190], [0.523, 0.697, 0.811], [0.560, 0.560, 0.500], [0.576, 0.110, 0.502], [0.633, 0.208, 0.001], [0.671, 0.968, 0.797], [0.672, 0.968, 0.206], [0.697, 0.523, 0.189], [0.697, 0.523, 0.810], [0.774, 0.774, 0.000], [0.792, 0.367, 0.499], [0.798, 0.798, 0.500], [0.849, 0.090, 0.503], [0.890, 0.424, 0.998], [0.910, 0.151, 0.997], [0.968, 0.671, 0.203], [0.968, 0.672, 0.794], [0.998, 0.002, 0.250]]
}

{
  "formula": "Y2WO6",
  "functional": "r2SCAN",
  "state": "optimized geometry",
  "e_form_ev_per_atom": -3.33,
  "polymorph_energy_mev_per_atom": 0,
  "cell": [[7.631, 0.000, 0.000], [0.000, 5.345, 0.000], [-2.848, 0.000, 11.008]],
  "species": ["Y", "Y", "Y", "Y", "Y", "Y", "Y", "Y", "W", "W", "W", "W", "O", "O", "O", "O", "O", "O", "O", "O", "O", "O", "O", "O", "O", "O", "O", "O", "O", "O", "O", "O", "O", "O", "O", "O"],
  "frac_coords": [[0.000, 0.183, 0.250], [0.000, 0.817, 0.750], [0.297, 0.313, 0.922], [0.297, 0.687, 0.422], [0.500, 0.239, 0.250], [0.500, 0.761, 0.750], [0.703, 0.313, 0.578], [0.703, 0.687, 0.078], [0.222, 0.246, 0.614], [0.222, 0.754, 0.114], [0.778, 0.246, 0.886], [0.778, 0.754, 0.386], [0.010, 0.143, 0.887], [0.010, 0.857, 0.387], [0.134, 0.346, 0.452], [0.134, 0.654, 0.952], [0.211, 0.485, 0.228], [0.211, 0.515, 0.728], [0.287, 0.039, 0.772], [0.287, 0.961, 0.272], [0.350, 0.026, 0.070], [0.350, 0.974, 0.570], [0.437, 0.460, 0.604], [0.437, 0.540, 0.104], [0.563, 0.460, 0.896], [0.563, 0.540, 0.396], [0.650, 0.026, 0.430], [0.650, 0.974, 0.930], [0.713, 0.039, 0.728], [0.713, 0.961, 0.228], [0.789, 0.485, 0.272], [0.789, 0.515, 0.772], [0.866, 0.346, 0.048], [0.866, 0.654, 0.548], [0.990, 0.143, 0.613], [0.990, 0.857, 0.113]]
}

{
  "formula": "ZnWO4",
  "functional": "r2SCAN",
  "state": "optimized geometry",
  "e_form_ev_per_atom": -2.12,
  "cell": [[4.677, 0.000, 0.000], [0.000, 5.730, 0.000], [-0.050, 0.000, 4.936]],
  "species": ["Zn", "Zn", "W", "W", "O", "O", "O", "O", "O", "O", "O", "O"],
  "frac_coords": [[0.000, 0.176, 0.250], [0.000, 0.824, 0.750], [0.500, 0.319, 0.750], [0.500, 0.681, 0.250], [0.243, 0.124, 0.597], [0.243, 0.876, 0.097], [0.283, 0.394, 0.065], [0.283, 0.606, 0.565], [0.717, 0.394, 0.435], [0.717, 0.606, 0.935], [0.757, 0.124, 0.903], [0.757, 0.876, 0.403]]
}

{
  "formula": "YO2",
  "functional": "r2SCAN",
  "state": "optimized geometry",
  "e_form_ev_per_atom": -2.95,
  "cell": [[4.188, 0.000, 0.000], [0.000, 3.611, 0.000], [-1.851, 0.000, 5.898]],
  "species": ["Y", "Y", "O", "O", "O", "O"],
  "frac_coords": [[0.170, 0.250, 0.316], [0.830, 0.750, 0.684], [0.181, 0.750, 0.053], [0.268, 0.750, 0.547], [0.732, 0.250, 0.453], [0.819, 0.250, 0.947]]
}

{
  "formula": "Y2ZrZnO6",
  "functional": "r2SCAN",
  "state": "optimized geometry",
  "e_form_ev_per_atom": -2.85,
  "cell": [[0.000, 3.980, 3.980], [3.980, 0.000, 3.980], [3.980, 3.980, 0.000]],
  "species": ["Y", "Y", "Zr", "Zn", "O", "O", "O", "O", "O", "O"],
  "frac_coords": [[0.250, 0.250, 0.250], [0.750, 0.750, 0.750], [0.000, 0.000, 0.000], [0.500, 0.500, 0.500], [0.253, 0.253, 0.747], [0.253, 0.747, 0.253], [0.253, 0.747, 0.747], [0.747, 0.253, 0.253], [0.747, 0.253, 0.747], [0.747, 0.747, 0.253]]
}

{
  "formula": "YbO2",
  "functional": "r2SCAN",
  "state": "optimized geometry",
  "e_form_ev_per_atom": -2.93,
  "cell": [[5.094, 0.000, 0.000], [0.000, 5.094, 0.000], [0.000, 0.000, 3.423]],
  "species": ["Yb", "Yb", "O", "O", "O", "O"],
  "frac_coords": [[0.000, 0.000, 0.000], [0.500, 0.500, 0.500], [0.197, 0.197, 0.500], [0.303, 0.697, 0.000], [0.697, 0.303, 0.000], [0.803, 0.803, 0.500]]
}

{
  "formula": "YbO3",
  "functional": "r2SCAN",
  "state": "optimized geometry",
  "e_form_ev_per_atom": -1.66,
  "polymorph_energy_mev_per_atom": 706,
  "cell": [[4.512, 0.000, 0.000], [-2.256, 3.908, 0.000], [0.000, 0.000, 4.583]],
  "species": ["Yb", "Yb", "O", "O", "O", "O", "O", "O"],
  "frac_coords": [[0.333, 0.667, 0.250], [0.667, 0.333, 0.750], [0.179, 0.359, 0.750], [0.179, 0.821, 0.750], [0.359, 0.179, 0.250], [0.641, 0.821, 0.750], [0.821, 0.179, 0.250], [0.821, 0.641, 0.250]]
}